No. 1
Material: S
Method: DFT, r2SCAN
State: optimized geometry

Computed properties:
E_form: 0.0 kJ/mol of atoms
Electronic total energy: -8.03 eV per atom
M_tot: 0.000 μB per cell
Energy relative to the lowest polymorph listed for this composition: 0 meV/atom

abc: 11.0534 10.9882 11.2144
angles: 90.00 96.42 90.00
Space group P2_1 (No. 4)
Unique sites:
S: 0.0397 0.0000 0.4461 (multiplicity 2)
S: 0.0483 0.3318 0.8842 (multiplicity 2)
S: 0.0496 0.2703 0.0568 (multiplicity 2)
S: 0.0566 0.7921 0.6640 (multiplicity 2)
S: 0.0705 0.8200 0.4854 (multiplicity 2)
S: 0.1505 0.5722 0.2537 (multiplicity 2)
S: 0.1522 0.4864 0.8870 (multiplicity 2)
S: 0.1752 0.1340 0.0883 (multiplicity 2)
S: 0.2035 0.0897 0.4524 (multiplicity 2)
S: 0.2279 0.7930 0.7561 (multiplicity 2)
S: 0.2396 0.1722 0.6165 (multiplicity 2)
S: 0.2545 0.6744 0.1512 (multiplicity 2)
S: 0.2571 0.9618 0.8314 (multiplicity 2)
S: 0.2631 0.4645 0.3668 (multiplicity 2)
S: 0.2824 0.8428 0.2279 (multiplicity 2)
S: 0.2928 0.5476 0.5310 (multiplicity 2)
S: 0.3217 0.4400 0.8447 (multiplicity 2)
S: 0.3353 0.2035 0.1712 (multiplicity 2)
S: 0.3566 0.0648 0.7254 (multiplicity 2)
S: 0.4302 0.8153 0.5027 (multiplicity 2)
S: 0.4385 0.4193 0.9989 (multiplicity 2)
S: 0.4504 0.2385 0.0441 (multiplicity 2)
S: 0.4508 0.8431 0.3253 (multiplicity 2)
S: 0.4578 0.6352 0.5433 (multiplicity 2)



No. 2
Material: S
Method: DFT, r2SCAN
State: optimized geometry

Computed properties:
E_form: 2.6 kJ/mol of atoms
Electronic total energy: -8.01 eV per atom
M_tot: 0.000 μB per cell
Energy relative to the lowest polymorph listed for this composition: 27 meV/atom

abc: 12.9349 10.3659 8.5765
angles: 90.00 106.19 90.00
Space group C2/c (No. 15)
Unique sites:
S: 0.0729 0.0642 0.2274 (multiplicity 8)
S: 0.0737 0.4623 0.7297 (multiplicity 8)
S: 0.0758 0.3126 0.5695 (multiplicity 8)
S: 0.1654 0.0837 0.8582 (multiplicity 8)
S: 0.2025 0.1988 0.6873 (multiplicity 8)



No. 3
Material: S
Method: DFT, r2SCAN
State: optimized geometry

Computed properties:
E_form: 2.7 kJ/mol of atoms
Electronic total energy: -8.01 eV per atom
M_tot: 0.000 μB per cell
Energy relative to the lowest polymorph listed for this composition: 28 meV/atom

abc: 15.4696 8.6107 18.6219
angles: 90.00 90.00 90.00
Space group Pca2_1 (No. 29)
Unique sites:
S: 0.0134 0.2036 0.0105 (multiplicity 4)
S: 0.0246 0.5068 0.2363 (multiplicity 4)
S: 0.0252 0.8625 0.6110 (multiplicity 4)
S: 0.0335 0.0836 0.8020 (multiplicity 4)
S: 0.0542 0.5361 0.8258 (multiplicity 4)
S: 0.0747 0.9120 0.8695 (multiplicity 4)
S: 0.0783 0.4511 0.5174 (multiplicity 4)
S: 0.0834 0.6631 0.4671 (multiplicity 4)
S: 0.0874 0.9769 0.2649 (multiplicity 4)
S: 0.1056 0.0526 0.6002 (multiplicity 4)
S: 0.1242 0.7599 0.0605 (multiplicity 4)
S: 0.1251 0.7310 0.8088 (multiplicity 4)
S: 0.1470 0.5546 0.2688 (multiplicity 4)
S: 0.1606 0.4715 0.6030 (multiplicity 4)
S: 0.1675 0.1569 0.4022 (multiplicity 4)
S: 0.1718 0.9486 0.3489 (multiplicity 4)
S: 0.1751 0.5790 0.0000 (multiplicity 4)
S: 0.1945 0.9550 0.0431 (multiplicity 4)
S: 0.2181 0.4083 0.0671 (multiplicity 4)
S: 0.2244 0.3600 0.2588 (multiplicity 4)
S: 0.2271 0.9990 0.6327 (multiplicity 4)
S: 0.2367 0.2934 0.8591 (multiplicity 4)



No. 4
Material: S
Method: DFT, r2SCAN
State: optimized geometry

Computed properties:
E_form: 0.6 kJ/mol of atoms
Electronic total energy: -8.03 eV per atom
M_tot: 0.000 μB per cell
Energy relative to the lowest polymorph listed for this composition: 6 meV/atom

abc: 14.0044 9.4996 17.9172
angles: 90.00 112.22 90.00
Space group P2 (No. 3)
Unique sites:
S: 0.0000 0.0000 0.0000 (multiplicity 1)
S: 0.0000 0.4967 0.5000 (multiplicity 1)
S: 0.0123 0.7067 0.2191 (multiplicity 2)
S: 0.0145 0.2026 0.7206 (multiplicity 2)
S: 0.0448 0.2722 0.1971 (multiplicity 2)
S: 0.0475 0.7683 0.6974 (multiplicity 2)
S: 0.0708 0.0400 0.5466 (multiplicity 2)
S: 0.0707 0.5453 0.0468 (multiplicity 2)
S: 0.1115 0.3576 0.7109 (multiplicity 2)
S: 0.1111 0.8632 0.2143 (multiplicity 2)
S: 0.1268 0.1277 0.0499 (multiplicity 2)
S: 0.1268 0.6241 0.5507 (multiplicity 2)
S: 0.1597 0.1902 0.5214 (multiplicity 2)
S: 0.1600 0.6946 0.0215 (multiplicity 2)
S: 0.1751 0.3868 0.2592 (multiplicity 2)
S: 0.1771 0.8859 0.7570 (multiplicity 2)
S: 0.1855 0.1676 0.9627 (multiplicity 2)
S: 0.1865 0.6630 0.4640 (multiplicity 2)
S: 0.2202 0.0987 0.4451 (multiplicity 2)
S: 0.2202 0.6021 0.9453 (multiplicity 2)
S: 0.2522 0.3278 0.8026 (multiplicity 2)
S: 0.2516 0.8257 0.3048 (multiplicity 2)
S: 0.2903 0.0115 0.9701 (multiplicity 2)
S: 0.2917 0.5069 0.4724 (multiplicity 2)
S: 0.2977 0.2497 0.2972 (multiplicity 2)
S: 0.3005 0.7505 0.7978 (multiplicity 2)
S: 0.3299 0.6869 0.2608 (multiplicity 2)
S: 0.3332 0.1868 0.7624 (multiplicity 2)
S: 0.3533 0.5006 0.0159 (multiplicity 2)
S: 0.3535 0.9978 0.5158 (multiplicity 2)
S: 0.3553 0.2336 0.2075 (multiplicity 2)
S: 0.3588 0.7305 0.7087 (multiplicity 2)
S: 0.3936 0.8012 0.1942 (multiplicity 2)
S: 0.3963 0.2978 0.6943 (multiplicity 2)
S: 0.4293 0.0724 0.0559 (multiplicity 2)
S: 0.4308 0.5700 0.5571 (multiplicity 2)
S: 0.4679 0.3838 0.2278 (multiplicity 2)
S: 0.4696 0.8828 0.7269 (multiplicity 2)
S: 0.4712 0.1423 0.5450 (multiplicity 2)
S: 0.4712 0.6448 0.0450 (multiplicity 2)
S: 0.5000 0.2001 0.0000 (multiplicity 1)
S: 0.5000 0.6977 0.5000 (multiplicity 1)



No. 5
Material: S
Method: DFT, r2SCAN
State: optimized geometry

Computed properties:
E_form: 4.9 kJ/mol of atoms
Electronic total energy: -7.98 eV per atom
M_tot: 0.000 μB per cell
Energy relative to the lowest polymorph listed for this composition: 51 meV/atom

abc: 10.8478 10.8478 4.4981
angles: 90.00 90.00 120.00
Space group R-3 (No. 148, hexagonal axes)
Unique sites:
S: 0.0424 0.8534 0.0983 (multiplicity 18)



No. 6
Material: S
Method: DFT, r2SCAN
State: optimized geometry

Computed properties:
E_form: 0.0 kJ/mol of atoms
Electronic total energy: -8.03 eV per atom
M_tot: 0.000 μB per cell
Energy relative to the lowest polymorph listed for this composition: 0 meV/atom

abc: 8.5800 8.5800 13.4566
angles: 104.61 104.66 101.97
Space group P1 (No. 1)
Unique sites:
S: 0.0000 0.0000 0.0000 (multiplicity 1)
S: 0.0015 0.3030 0.3072 (multiplicity 1)
S: 0.0195 0.8703 0.7494 (multiplicity 1)
S: 0.0520 0.9971 0.4132 (multiplicity 1)
S: 0.1037 0.6910 0.1646 (multiplicity 1)
S: 0.1135 0.1143 0.3072 (multiplicity 1)
S: 0.1168 0.0629 0.8942 (multiplicity 1)
S: 0.1209 0.5724 0.5579 (multiplicity 1)
S: 0.1258 0.5710 0.9137 (multiplicity 1)
S: 0.1689 0.5261 0.4132 (multiplicity 1)
S: 0.1717 0.5228 0.0584 (multiplicity 1)
S: 0.1833 0.2685 0.6647 (multiplicity 1)
S: 0.2451 0.0950 0.5578 (multiplicity 1)
S: 0.2900 0.5057 0.6646 (multiplicity 1)
S: 0.4217 0.0065 0.1432 (multiplicity 1)
S: 0.4695 0.4181 0.2491 (multiplicity 1)
S: 0.5306 0.2429 0.1429 (multiplicity 1)
S: 0.5391 0.9882 0.7491 (multiplicity 1)
S: 0.5406 0.9868 0.3949 (multiplicity 1)
S: 0.5874 0.9408 0.8941 (multiplicity 1)
S: 0.5890 0.9387 0.2503 (multiplicity 1)
S: 0.5960 0.4527 0.9124 (multiplicity 1)
S: 0.5988 0.3992 0.4999 (multiplicity 1)
S: 0.6078 0.8210 0.6427 (multiplicity 1)
S: 0.6620 0.5156 0.3940 (multiplicity 1)
S: 0.6930 0.6453 0.0572 (multiplicity 1)
S: 0.7090 0.2095 0.5007 (multiplicity 1)
S: 0.7140 0.5150 0.8070 (multiplicity 1)
S: 0.8099 0.1100 0.9997 (multiplicity 1)
S: 0.8442 0.9307 0.6428 (multiplicity 1)
S: 0.8664 0.5836 0.1642 (multiplicity 1)
S: 0.9030 0.4034 0.8074 (multiplicity 1)



No. 7
Material: S
Method: DFT, r2SCAN
State: optimized geometry

Computed properties:
E_form: 2.9 kJ/mol of atoms
Electronic total energy: -8.00 eV per atom
M_tot: 0.000 μB per cell
Energy relative to the lowest polymorph listed for this composition: 30 meV/atom

abc: 9.9463 7.8826 9.7147
angles: 90.00 101.39 90.00
Space group P2_1/c (No. 14)
Unique sites:
S: 0.0382 0.1141 0.3337 (multiplicity 4)
S: 0.1225 0.1866 0.9542 (multiplicity 4)
S: 0.1829 0.5814 0.8954 (multiplicity 4)
S: 0.2777 0.0976 0.8646 (multiplicity 4)
S: 0.2783 0.6148 0.7373 (multiplicity 4)
S: 0.4326 0.2171 0.4237 (multiplicity 4)
S: 0.4395 0.0806 0.2548 (multiplicity 4)



No. 8
Material: S
Method: DFT, r2SCAN
State: optimized geometry

Computed properties:
E_form: 1.2 kJ/mol of atoms
Electronic total energy: -8.02 eV per atom
M_tot: 0.000 μB per cell
Energy relative to the lowest polymorph listed for this composition: 12 meV/atom

abc: 10.8083 7.4097 16.0940
angles: 90.00 129.58 90.00
Space group P2_1/c (No. 14)
Unique sites:
S: 0.0094 0.0641 0.3117 (multiplicity 4)
S: 0.1478 0.0107 0.6639 (multiplicity 4)
S: 0.1669 0.0435 0.1580 (multiplicity 4)
S: 0.2162 0.5853 0.9096 (multiplicity 4)
S: 0.2693 0.2333 0.7584 (multiplicity 4)
S: 0.2983 0.0441 0.0166 (multiplicity 4)
S: 0.3330 0.5598 0.6486 (multiplicity 4)
S: 0.3510 0.0180 0.5630 (multiplicity 4)
S: 0.4599 0.2503 0.0688 (multiplicity 4)